Density functional theory data (PBE-GGA) for a relaxed Ac2HgGe crystal.

SG: No. 225
V: 125.7 Å³/cell
Calculated formation energy: -0.49 eV per atom

Lattice parameters (Å, degrees): 5.623 5.623 5.623 60.00 60.00 60.00
Fractional coordinates of all 4 atoms:
Ge  0.500  0.500  0.500
Ac  0.750  0.750  0.750
Ac  0.250  0.250  0.250
Hg  0.000  0.000  0.000